Computed, not measured: CsZn2B3O7 after structural relaxation at the PBE level of DFT.

Energy relative to the elements (eV per formula unit): -32.52
Space group: No. 36

Structure (POSCAR):
```
CsZn2B3O7
1.0
-3.597 3.258 9.498
-0.259 -9.471 -4.898
12.923 -3.506 6.097
B O Zn Cs
18 42 12 6
direct
0.334 0.177 0.897 B
0.177 0.334 0.397 B
0.671 0.825 0.564 B
0.705 0.769 0.979 B
0.225 0.775 0.650 B
0.825 0.671 0.064 B
0.752 0.248 0.484 B
0.225 0.775 0.314 B
0.775 0.225 0.150 B
0.248 0.752 0.984 B
0.666 0.823 0.397 B
0.329 0.175 0.064 B
0.775 0.225 0.814 B
0.295 0.231 0.479 B
0.823 0.666 0.897 B
0.769 0.705 0.479 B
0.175 0.329 0.564 B
0.231 0.295 0.979 B
0.796 0.204 0.060 O
0.355 0.129 0.818 O
0.634 0.085 0.860 O
0.204 0.796 0.560 O
0.369 0.145 0.981 O
0.145 0.369 0.481 O
0.743 0.730 0.897 O
0.826 0.625 0.477 O
0.884 0.393 0.530 O
0.625 0.097 0.195 O
0.252 0.261 0.562 O
0.270 0.257 0.897 O
0.855 0.631 0.981 O
0.775 0.225 0.720 O
0.261 0.252 0.062 O
0.257 0.270 0.397 O
0.871 0.645 0.818 O
0.129 0.355 0.318 O
0.085 0.634 0.360 O
0.915 0.366 0.860 O
0.128 0.348 0.644 O
0.116 0.607 0.030 O
0.872 0.652 0.144 O
0.237 0.763 0.891 O
0.174 0.375 0.977 O
0.631 0.855 0.481 O
0.366 0.915 0.360 O
0.763 0.237 0.391 O
0.375 0.903 0.695 O
0.225 0.775 0.220 O
0.739 0.748 0.562 O
0.903 0.375 0.195 O
0.748 0.739 0.062 O
0.730 0.743 0.397 O
0.375 0.174 0.477 O
0.393 0.884 0.030 O
0.652 0.872 0.644 O
0.097 0.625 0.695 O
0.348 0.128 0.144 O
0.607 0.116 0.530 O
0.625 0.826 0.977 O
0.645 0.871 0.318 O
0.995 0.377 0.984 Zn
0.980 0.401 0.324 Zn
0.401 0.980 0.824 Zn
0.005 0.623 0.484 Zn
0.604 0.018 0.645 Zn
0.377 0.995 0.484 Zn
0.018 0.604 0.145 Zn
0.599 0.020 0.324 Zn
0.020 0.599 0.824 Zn
0.396 0.982 0.145 Zn
0.623 0.005 0.984 Zn
0.982 0.396 0.645 Zn
0.608 0.392 0.298 Cs
0.389 0.611 0.157 Cs
0.611 0.389 0.657 Cs
0.002 0.998 0.729 Cs
0.392 0.608 0.798 Cs
0.998 0.002 0.229 Cs
```